[1]
A relaxed structure of BaO4, computed with PBE-GGA.

E above lowest polymorph = 15 meV per atom
energy with MP2020 corrections = -0.406 Ry per atom

POSCAR file:
```
BaO4
1.0
8.5886 0.0000 0.0000
0.0000 4.8015 0.0000
0.0000 0.0404 8.7314
Ba O
4 16
Cartesian
3.1244 1.1542 5.8549
7.4187 3.7079 7.2422
5.4642 3.6877 2.8765
1.1699 1.1340 1.4892
4.2163 3.5281 5.4200
8.5106 1.3340 7.6771
4.3722 1.3138 3.3114
0.0780 3.5079 1.0543
6.0704 1.1347 5.8088
1.7762 3.7274 7.2882
2.5181 3.7072 2.9225
6.8124 1.1145 1.4431
6.8247 0.4360 4.9752
2.5304 4.4260 8.1219
1.7639 4.4059 3.7562
6.0582 0.4158 0.6095
0.4205 1.4146 6.3917
4.7148 3.4474 6.7054
8.1681 3.4273 2.3397
3.8738 1.3944 2.0260
```

[2]
A relaxed structure of Ba11Os4O24, computed with PBE-GGA.

energy with MP2020 corrections = -0.534 Ry per atom

POSCAR file:
```
Ba11Os4O24
1.0
8.3260 6.0111 6.6147
-6.2068 -3.2538 10.0049
3.7499 -8.7025 -7.7080
Ba Os O
22 8 48
Cartesian
-0.7057 -2.9906 3.3104
-2.8686 -1.4321 9.1000
2.0394 -7.3384 -0.6551
8.4761 -4.0649 3.7533
3.2296 -2.4781 4.5132
-3.0748 -4.7907 7.1363
6.0676 -1.3071 -0.3137
7.0678 -0.0057 7.5303
1.6191 2.1066 12.6977
3.4358 0.8805 6.4769
3.9607 -2.5368 8.7666
1.0667 -0.9196 10.3028
-1.0855 -8.0997 4.2065
9.9491 1.2216 3.0426
6.5677 -0.6564 3.6083
8.6945 -4.5694 -0.5276
2.0715 -5.2743 6.5603
1.9517 -3.3522 0.4844
0.5001 0.6507 3.9220
0.0000 0.0000 0.0000
5.1964 -4.5130 1.6987
4.6161 2.6958 3.1239
5.1588 -4.6795 -2.0499
2.0554 -6.3064 2.9526
6.2184 -3.3008 6.2600
0.1805 -1.9551 6.8066
4.3435 1.0505 10.1140
9.3218 -1.6739 1.2575
3.2839 -0.3282 1.8041
7.4468 2.6774 5.1115
5.8185 1.6842 5.4698
9.3734 -1.4501 3.1826
-0.9979 -1.1419 5.5172
0.8907 -7.5062 1.9954
2.2518 1.3080 1.6501
0.1484 1.0617 14.7775
9.0752 3.6705 4.7533
5.4956 -0.4637 9.8846
-1.9275 -7.0693 6.4910
4.3159 -1.9644 1.9582
7.5938 3.1800 6.9782
6.0184 -5.9074 -3.2605
-0.3490 -0.6356 8.0881
-2.7241 -4.0547 4.6213
7.8433 -2.3121 5.8746
8.5385 1.0392 5.4505
7.2999 2.1747 3.2449
2.9638 -5.8559 1.3292
6.6444 -3.4701 -2.1063
2.8545 -0.7303 -0.0432
8.2932 -0.0332 1.1306
1.1471 -6.7568 4.5760
4.5936 -4.2895 6.6454
3.7132 0.0739 3.6515
3.2202 -5.1065 3.9098
0.7100 -3.2746 5.5251
3.4975 0.2654 11.6569
1.5846 -0.8518 6.1108
5.1771 -1.5970 6.3165
6.5525 -3.1776 8.1657
10.3504 -3.3147 1.3844
5.8843 -3.4240 4.3542
2.6796 -6.6260 -5.5412
9.2702 -1.8977 -0.6676
1.6506 -1.3216 2.3836
7.6381 -2.7330 1.4415
3.1913 2.5646 10.3434
7.2597 -5.0046 6.2035
3.6732 -5.8888 -1.9935
-1.2236 -3.0584 7.5024
4.2992 -3.4515 -0.8392
1.3589 -2.7683 8.0960
3.0850 0.1445 8.9919
6.0384 -5.5434 -0.5858
4.9172 0.6653 1.2247
0.8218 -4.8983 2.5426
5.1894 1.8355 8.5711
3.2891 -7.7145 3.3626
```

[3]
A relaxed structure of BaOsO2, computed with PBE-GGA.

energy with MP2020 corrections = -0.521 Ry per atom

POSCAR file:
```
BaOsO2
1.0
-3.2591 3.2591 6.4692
3.2591 -3.2591 6.4692
3.2591 3.2591 -6.4692
Ba Os O
4 4 8
Cartesian
0.0000 1.6295 8.0865
3.2591 1.6295 1.6173
1.6295 0.0000 4.8519
1.6295 3.2591 -1.6173
0.0000 1.6295 1.6173
0.0000 4.8886 1.6173
-1.6295 3.2591 4.8519
1.6295 3.2591 4.8519
1.2012 0.0000 2.1055
5.3169 0.0000 2.1055
3.2591 1.2012 -1.1291
2.0578 0.0000 7.5984
0.0000 2.0578 5.3401
1.2012 3.2591 1.1291
3.2591 2.0578 4.3637
3.2591 -2.0578 4.3637
```

[4]
A relaxed structure of BaOsO9, computed with PBE-GGA.

E above lowest polymorph = 0 meV per atom

POSCAR file:
```
BaOsO9
1.0
-4.8754 -3.0547 5.4961
1.9926 -4.7386 -0.8662
11.9335 2.7988 12.1414
Ba Os O
4 4 36
Cartesian
5.1151 -1.4205 11.6950
9.4918 0.5616 10.9197
3.9355 -3.5741 5.0764
-0.4412 -5.5562 5.8516
5.5731 -0.4813 7.6106
8.4017 -0.7736 15.7167
3.4775 -4.5133 9.1608
0.6489 -4.2210 1.0547
0.5855 -2.3317 6.2597
2.8589 -0.8429 3.3445
8.4652 -2.6629 10.5116
6.1917 -4.1517 13.4268
6.4453 -4.1060 5.9523
-2.0581 -4.4650 3.9692
3.5971 -3.2470 10.3879
10.1170 1.8287 13.2333
2.6054 -0.8886 10.8190
11.1087 -0.5296 12.8022
5.4536 -1.7476 6.3834
-1.0664 -6.8233 3.5381
5.0065 0.2881 9.3485
7.4337 -2.5046 15.7088
3.1231 -3.0924 7.8232
2.5380 -4.6803 0.6622
4.0441 -5.2827 7.4229
1.6170 -2.4900 1.0626
5.9276 -1.9022 8.9481
6.5127 -0.3143 16.1091
7.1395 0.2057 7.4552
8.4663 -0.4387 14.0334
1.9111 -5.2003 9.3161
0.5843 -4.5559 2.7380
5.9696 -5.5002 13.3891
7.9180 -1.7964 11.4166
3.9580 -1.5799 3.0011
0.2557 -1.1127 5.7360
3.0810 0.5056 3.3823
1.1326 -3.1982 5.3548
5.0927 -3.4147 13.7703
8.7950 -3.8819 11.0354
3.2370 -1.5524 8.0962
1.0105 -1.1190 0.6027
5.8137 -3.4422 8.6752
8.0401 -3.8756 16.1687
```

[5]
A relaxed structure of BaOsO9, computed with PBE-GGA.

E above lowest polymorph = 81 meV per atom

POSCAR file:
```
BaOsO9
1.0
-3.4950 4.2202 4.4326
0.3789 -5.3580 5.4001
11.5065 5.0814 4.2345
Ba Os O
4 4 36
Cartesian
6.9497 0.6320 7.6795
8.9049 4.2581 5.7687
1.4407 3.3116 6.3877
-0.5146 -0.3145 8.2985
5.4132 2.4831 4.7056
10.4734 1.9551 9.1982
2.9772 1.4606 9.3616
-2.0830 1.9886 4.8690
2.2392 0.2335 4.3448
2.2572 -2.5212 6.9817
6.1512 3.7101 9.7224
6.1332 6.4648 7.0855
5.0959 1.5737 3.2225
-0.7583 -1.6155 5.8405
4.6036 0.7893 9.1844
7.8396 7.1398 9.8870
3.2945 2.3700 10.8447
9.1487 5.5591 8.2268
3.7868 3.1544 4.8828
0.5508 -3.1962 4.1802
6.9328 1.3195 5.0230
9.0651 1.5441 10.4677
2.6980 1.1263 7.4710
-1.9152 3.8974 5.1727
1.4576 2.6242 9.0442
-0.6747 2.3995 3.5995
5.6924 2.8173 6.5962
10.3056 0.0462 8.8945
6.4122 3.8581 4.1842
9.3463 2.3911 7.8943
1.9781 0.0855 9.8830
-0.9559 1.5525 6.1730
5.3074 7.4452 7.2630
6.9168 3.5808 8.6872
1.9840 -2.1745 8.1982
2.5726 -0.9643 3.9861
3.0830 -3.5016 6.8043
1.4736 0.3628 5.3800
6.4064 6.1181 5.8691
5.8178 4.9079 10.0811
4.9190 0.8733 5.8486
-0.3480 -4.2153 6.5405
3.4714 3.0703 8.2187
8.7384 8.1590 7.5267
```

[6]
A relaxed structure of Ba2YOsO6, computed with PBE-GGA.

energy with MP2020 corrections = -0.587 Ry per atom

POSCAR file:
```
Ba2YOsO6
1.0
-1.8600 -5.5330 -1.3322
-0.8694 -3.9994 4.3700
-5.5562 -1.7151 1.4265
Ba Y Os O
2 1 1 6
Cartesian
-6.2142 -8.4357 3.3483
-2.0714 -2.8119 1.1161
-4.1428 -5.6238 2.2322
0.0000 0.0000 0.0000
-3.3937 -7.6955 2.6592
-2.4078 -4.7628 3.3653
-2.9328 -5.5756 0.3429
-4.8920 -3.5520 1.8052
-5.8779 -6.4847 1.0990
-5.3528 -5.6719 4.1215
```

[7]
A relaxed structure of BaP2O8, computed with PBE-GGA.

E above lowest polymorph = 337 meV per atom

POSCAR file:
```
BaP2O8
1.0
8.0197 0.0000 0.0000
-2.0151 11.4608 0.0000
-1.9969 -4.0561 12.3140
Ba P O
6 12 48
Cartesian
-3.0764 6.4934 9.1057
7.0840 0.9113 3.2083
2.9319 -2.3315 8.5480
1.0757 9.7362 3.7660
-1.6234 3.2728 12.0287
5.6311 4.1320 0.2853
3.2261 4.2532 11.8277
0.7815 3.1516 0.4863
3.1597 9.8520 0.8789
0.8479 -2.4472 11.4351
1.0505 5.5487 10.3293
2.9571 1.8560 1.9847
-1.0239 7.3526 5.9548
5.0315 0.0522 6.3592
5.1061 8.6646 4.1783
-1.0985 -1.2598 8.1357
-1.2095 6.5239 3.1594
5.2172 0.8808 9.1547
1.1033 6.4298 11.7000
2.9043 0.9750 0.6140
2.0172 4.2761 10.7472
1.9904 3.1287 1.5668
4.5588 9.0313 0.7945
-0.5512 -1.6265 11.5195
5.4388 7.4053 3.2195
-1.4312 -0.0005 9.0946
-0.9084 6.2815 4.7442
4.9160 1.1233 7.5698
-2.4548 8.0655 5.6219
6.4624 -0.6607 6.6922
3.5713 2.8380 12.1880
0.4363 4.5668 0.1261
4.3915 5.0794 11.3358
-0.3839 2.3254 0.9783
5.3196 -0.5111 1.8777
-1.3119 7.9159 10.4364
2.0187 8.8963 1.0879
1.9889 -1.4916 11.2261
-0.3093 4.9784 10.0913
4.3170 2.4263 2.2227
1.7505 6.3946 9.2821
2.2571 1.0101 3.0319
0.1042 8.3423 5.8684
3.9034 -0.9376 6.4457
-1.1973 6.6098 7.2417
5.2050 0.7950 5.0723
-1.9836 9.8377 3.8651
5.9912 -2.4329 8.4490
3.6358 8.8799 4.1767
0.3718 -1.4751 8.1373
6.4646 5.1977 2.5732
-2.4570 2.2071 9.7409
-0.1155 7.3654 2.5477
4.1231 0.0393 9.7663
5.0257 -3.3090 10.4317
-1.0180 10.7138 1.8823
3.0885 6.6943 6.8695
0.9191 0.7105 5.4445
3.0273 5.8328 0.6110
0.9803 1.5719 11.7030
4.6410 4.0623 6.8070
-0.6334 3.3425 5.5070
4.1118 4.0123 5.6433
-0.1042 3.3925 6.6707
3.2099 4.8842 5.3319
0.7978 2.5206 6.9822
```

[8]
A relaxed structure of Ba2P6O17, computed with PBE-GGA.

E above lowest polymorph = 0 meV per atom
energy with MP2020 corrections = -0.563 Ry per atom

POSCAR file:
```
Ba2P6O17
1.0
-12.0809 0.4287 6.4858
-2.4261 -5.7383 -4.1397
1.8741 -6.1558 3.8978
Ba P O
4 12 34
Cartesian
-4.0438 -9.8397 1.2945
-10.9431 -5.3650 8.7976
-7.5715 -5.8917 0.6041
-9.3569 -1.5984 5.3617
-0.3423 -9.5647 1.7773
-10.2006 -9.6762 4.0290
-8.7950 -7.3638 5.5764
-2.7268 -6.1890 2.6177
-5.3018 -6.0733 4.0012
-5.4317 -3.9902 6.2190
-2.4632 -7.6433 -2.5187
-12.5112 -5.2083 5.0237
-9.9340 -5.2753 3.6412
-3.5957 -4.1102 0.5375
-2.9544 -1.7707 2.4953
-7.7345 -2.0623 2.0207
-10.6019 -10.7696 4.9708
-1.3930 -10.2682 0.9735
-6.4808 -10.1521 2.5010
-8.8196 -10.1302 3.3282
-7.3726 -7.9664 5.2561
-4.9756 -7.3984 4.8077
0.0342 -8.1556 1.5343
-9.0296 -7.0392 7.0051
-9.8045 -8.3955 4.9747
-3.0366 -7.6244 2.4209
-1.4301 -5.7129 3.1872
-8.1814 -8.3691 1.5782
-3.8553 -5.4936 3.6334
-5.9269 -5.0552 5.0355
-5.1418 -7.9708 -0.2438
-8.9320 -6.0790 4.6572
-6.1451 -6.3035 2.8197
-11.9794 -4.9670 6.3725
-2.9765 -5.4121 1.1978
-8.7839 -3.4487 7.1818
-1.6919 -6.5881 -1.4834
-11.4398 -5.8773 4.0398
0.1270 -3.2587 2.2078
-9.7199 -5.8051 2.2606
-9.8618 -3.8315 3.9656
-3.5941 -3.0427 1.6804
-4.9325 -4.3790 -0.0476
-7.4022 -3.4966 1.8832
-12.9301 -3.8799 4.2670
-2.5121 -3.5965 -0.4876
-1.5850 -1.4143 1.7194
-11.6872 -1.1168 6.7145
-7.6054 -1.3262 3.3193
-3.8995 -0.6295 2.2763
```

[9]
A relaxed structure of BaP2O8, computed with PBE-GGA.

E above lowest polymorph = 0 meV per atom
energy with MP2020 corrections = -0.510 Ry per atom

POSCAR file:
```
BaP2O8
1.0
7.2843 0.0000 0.0000
-2.2516 7.0597 0.0000
-1.0611 -2.4417 7.6000
Ba P O
2 4 16
Cartesian
2.8524 2.8234 6.8087
1.1193 1.7947 0.7913
1.0322 0.0190 4.3722
2.9395 4.5990 3.2278
-0.8711 2.9098 6.8073
4.8427 1.7082 0.7928
0.2016 3.6649 5.9685
3.7701 0.9531 1.6315
5.8209 0.7602 0.0870
-1.8492 3.8578 7.5130
2.8613 0.0704 7.4429
1.1104 4.5476 0.1571
3.4939 4.4380 4.6474
0.4778 0.1801 2.9526
-1.7433 1.9411 5.9722
5.7149 2.6769 1.6278
-0.0295 -0.2675 5.4577
4.0012 4.8855 2.1423
1.9271 -1.2555 4.3640
2.0446 5.8736 3.2360
1.8542 1.2518 4.7646
2.1175 3.3662 2.8354
```

Number 1: total magnetization 0.4000 μB per atom, ΔH_f (0 K) -5.94 eV per formula unit. Number 2: total magnetization 0.0015 μB per atom, ΔH_f (0 K) -98.44 eV per formula unit. Number 3: total magnetization 0.3991 μB per atom, ΔH_f (0 K) -5.33 eV per formula unit. Number 4: total magnetization 0.0899 μB per atom, ΔH_f (0 K) -8.29 eV per formula unit. Number 5: total magnetization 0.1818 μB per atom, ΔH_f (0 K) -7.41 eV per formula unit. Number 6: total magnetization 0.2998 μB per atom, ΔH_f (0 K) -28.67 eV per formula unit. Number 7: total magnetization 0.1212 μB per atom, ΔH_f (0 K) -20.22 eV per formula unit. Number 8: total magnetization 0.0001 μB per atom, ΔH_f (0 K) -71.17 eV per formula unit. Number 9: total magnetization 0.3637 μB per atom, ΔH_f (0 K) -23.93 eV per formula unit.